Entry 1:
Computed, not measured: an optimized crystal structure of NdAs2Pd2 at the meta-GGA r2SCAN level of DFT.

SG   No. 139

Lattice parameters (Å, degrees): 6.0465 6.0465 6.0465 138.65 138.65 59.91
Last column: nearest neighbours and their distance in Å.
Sites, in units of the cell vectors:
Nd 0.0000 0.0000 0.0000  8 As 3.27, 8 Pd 3.38
As 0.3811 0.3811 0.0000  1 As 2.49, 4 Pd 2.54
As 0.6189 0.6189 0.0000  1 As 2.49, 4 Pd 2.54
Pd 0.2500 0.7500 0.5000  4 As 2.54
Pd 0.7500 0.2500 0.5000  4 As 2.54

=====

Entry 2:
Computed, not measured: an optimized crystal structure of NdMnO3 at the meta-GGA r2SCAN level of DFT.

SG   No. 62

Lattice parameters (Å, degrees): 5.5950 7.7439 5.4390 90.00 90.00 90.00
Last column: nearest neighbours and their distance in Å.
Sites, in units of the cell vectors:
Nd 0.0517 0.2500 0.0117  6 O 2.37-2.58
Nd 0.4483 0.7500 0.5117  6 O 2.37-2.58
Nd 0.5517 0.2500 0.4883  6 O 2.37-2.58
Nd 0.9483 0.7500 0.9883  6 O 2.37-2.58
Mn 0.0000 0.0000 0.5000  6 O 1.97-2.04
Mn 0.0000 0.5000 0.5000  6 O 1.97-2.04
Mn 0.5000 0.0000 0.0000  6 O 1.97-2.04
Mn 0.5000 0.5000 0.0000  6 O 1.97-2.04
O 0.0192 0.7500 0.4178  2 Mn 1.99
O 0.2053 0.5438 0.7882  2 Mn 1.97-2.04
O 0.2053 0.9562 0.7882  2 Mn 1.97-2.04
O 0.2947 0.0438 0.2882  2 Mn 1.97-2.04
O 0.2947 0.4562 0.2882  2 Mn 1.97-2.04
O 0.4808 0.2500 0.9178  2 Mn 1.99
O 0.5192 0.7500 0.0822  2 Mn 1.99
O 0.7053 0.5438 0.7118  2 Mn 1.97-2.04
O 0.7053 0.9562 0.7118  2 Mn 1.97-2.04
O 0.7947 0.0438 0.2118  2 Mn 1.97-2.04
O 0.7947 0.4562 0.2118  2 Mn 1.97-2.04
O 0.9808 0.2500 0.5822  2 Mn 1.99

=====

Entry 3:
Computed, not measured: an optimized crystal structure of Li2Mn2P4H6O17 at the meta-GGA r2SCAN level of DFT.

SG   No. 2

Lattice parameters (Å, degrees): 8.5750 8.9555 9.1625 63.80 79.71 89.89
Last column: nearest neighbours and their distance in Å.
Sites, in units of the cell vectors:
Li 0.1669 0.2486 0.0240  4 O 1.97-2.06
Li 0.2503 0.1812 0.3942  4 O 2.03-2.08
Li 0.7497 0.8188 0.6058  4 O 2.03-2.08
Li 0.8331 0.7514 0.9760  4 O 1.97-2.06
Mn 0.1339 0.7857 0.7637  4 O 1.89-1.94
Mn 0.3658 0.7057 0.2486  4 O 1.90-1.95
Mn 0.6342 0.2943 0.7514  4 O 1.90-1.95
Mn 0.8661 0.2143 0.2363  4 O 1.89-1.94
P 0.0583 0.5486 0.2016  4 O 1.51-1.58
P 0.0884 0.9116 0.3589  4 O 1.50-1.57
P 0.3610 0.9965 0.8522  4 O 1.51-1.58
P 0.4068 0.5931 0.6606  4 O 1.52-1.58
P 0.5932 0.4069 0.3394  4 O 1.52-1.58
P 0.6390 0.0035 0.1478  4 O 1.51-1.58
P 0.9116 0.0884 0.6411  4 O 1.50-1.57
P 0.9417 0.4514 0.7984  4 O 1.51-1.58
H 0.0695 0.2989 0.5912  1 O 1.01
H 0.1696 0.5030 0.6034  1 O 1.04
H 0.1982 0.9790 0.0629  1 O 1.00
H 0.3514 0.4002 0.1129  1 O 0.97
H 0.4343 0.2496 0.0937  1 O 0.99
H 0.4567 0.2063 0.5544  1 O 1.01
H 0.5433 0.7937 0.4456  1 O 1.01
H 0.5657 0.7504 0.9063  1 O 0.99
H 0.6486 0.5998 0.8871  1 O 0.97
H 0.8018 0.0210 0.9371  1 O 1.00
H 0.8304 0.4970 0.3966  1 O 1.04
H 0.9305 0.7011 0.4088  1 O 1.01
O 0.0230 0.3749 0.2172  1 P 1.52
O 0.0412 0.0768 0.2330  1 P 1.53
O 0.0432 0.6892 0.0371  1 P 1.51
O 0.0619 0.4303 0.6582  1 H 1.04
O 0.0655 0.2129 0.5487  1 H 1.01
O 0.1689 0.9339 0.4817  1 P 1.50
O 0.1918 0.8418 0.2515  1 P 1.54, 1 H 1.61
O 0.2252 0.5468 0.2417  1 P 1.54
O 0.2363 0.0696 0.9476  1 H 1.00
O 0.2826 0.9562 0.7357  1 P 1.52
O 0.2933 0.6348 0.7836  1 P 1.53
O 0.3263 0.5867 0.5277  1 H 1.44, 1 P 1.52
O 0.3345 0.2832 0.1396  2 H 0.97-0.99
O 0.4249 0.8484 0.9789  1 P 1.51
O 0.4488 0.2686 0.4335  1 H 1.01
O 0.4665 0.4281 0.7687  1 P 1.52
O 0.4877 0.1400 0.7339  1 P 1.54, 1 H 1.56
O 0.5123 0.8600 0.2661  1 P 1.54, 1 H 1.56
O 0.5335 0.5719 0.2313  1 P 1.52
O 0.5512 0.7314 0.5665  1 H 1.01
O 0.5751 0.1516 0.0211  1 P 1.51
O 0.6655 0.7168 0.8604  2 H 0.97-0.99
O 0.6737 0.4133 0.4723  1 H 1.44, 1 P 1.52
O 0.7067 0.3652 0.2164  1 P 1.53
O 0.7174 0.0438 0.2643  1 P 1.52
O 0.7637 0.9304 0.0524  1 H 1.00
O 0.7748 0.4532 0.7583  1 P 1.54
O 0.8082 0.1582 0.7485  1 P 1.54, 1 H 1.61
O 0.8311 0.0661 0.5183  1 P 1.50
O 0.9345 0.7871 0.4513  1 H 1.01
O 0.9381 0.5697 0.3418  1 H 1.04
O 0.9568 0.3108 0.9629  1 P 1.51
O 0.9588 0.9232 0.7670  1 P 1.53
O 0.9770 0.6251 0.7829  1 P 1.52

=====

Entry 4:
Computed, not measured: an optimized crystal structure of NdRh2 at the meta-GGA r2SCAN level of DFT.

SG   No. 227

Lattice parameters (Å, degrees): 5.3807 5.3807 5.3807 60.00 60.00 60.00
Last column: nearest neighbours and their distance in Å.
Sites, in units of the cell vectors:
Nd 0.1250 0.1250 0.1250  12 Rh 3.15, 4 Nd 3.30
Nd 0.8750 0.8750 0.8750  12 Rh 3.15, 4 Nd 3.30
Rh 0.0000 0.5000 0.5000  6 Rh 2.69
Rh 0.5000 0.0000 0.5000  6 Rh 2.69
Rh 0.5000 0.5000 0.0000  6 Rh 2.69
Rh 0.5000 0.5000 0.5000  6 Rh 2.69

=====

Entry 5:
Computed, not measured: an optimized crystal structure of KTlBr4 at the meta-GGA r2SCAN level of DFT.

SG   No. 52

Lattice parameters (Å, degrees): 8.0054 10.4957 10.5419 90.00 90.00 90.00
Last column: nearest neighbours and their distance in Å.
Sites, in units of the cell vectors:
K 0.1810 0.2500 0.2500  8 Br 3.39-3.45
K 0.3190 0.7500 0.2500  8 Br 3.39-3.45
K 0.6810 0.2500 0.7500  8 Br 3.39-3.45
K 0.8190 0.7500 0.7500  8 Br 3.39-3.45
Tl 0.2500 0.0000 0.6770  4 Br 2.60-2.61
Tl 0.2500 0.5000 0.8230  4 Br 2.60-2.61
Tl 0.7500 0.0000 0.3230  4 Br 2.60-2.61
Tl 0.7500 0.5000 0.1770  4 Br 2.60-2.61
Br 0.0092 0.5416 0.3207  1 Tl 2.61
Br 0.0092 0.9584 0.1793  1 Tl 2.61
Br 0.1471 0.6937 0.9550  1 Tl 2.60
Br 0.1471 0.8063 0.5450  1 Tl 2.60
Br 0.3529 0.1937 0.5450  1 Tl 2.60
Br 0.3529 0.3063 0.9550  1 Tl 2.60
Br 0.4908 0.0416 0.1793  1 Tl 2.61
Br 0.4908 0.4584 0.3207  1 Tl 2.61
Br 0.5092 0.5416 0.6793  1 Tl 2.61
Br 0.5092 0.9584 0.8207  1 Tl 2.61
Br 0.6471 0.6937 0.0450  1 Tl 2.60
Br 0.6471 0.8063 0.4550  1 Tl 2.60
Br 0.8529 0.1937 0.4550  1 Tl 2.60
Br 0.8529 0.3063 0.0450  1 Tl 2.60
Br 0.9908 0.0416 0.8207  1 Tl 2.61
Br 0.9908 0.4584 0.6793  1 Tl 2.61

=====

Entry 6:
Computed, not measured: an optimized crystal structure of Rb2MoO4 at the meta-GGA r2SCAN level of DFT.

SG   No. 62

Lattice parameters (Å, degrees): 8.1093 6.3349 11.0886 90.00 90.00 90.00
Last column: nearest neighbours and their distance in Å.
Sites, in units of the cell vectors:
Rb 0.0009 0.2500 0.2080  7 O 2.87-3.05
Rb 0.1641 0.7500 0.4233  1 O 2.74
Rb 0.3359 0.2500 0.9233  1 O 2.74
Rb 0.4991 0.7500 0.7080  7 O 2.87-3.05
Rb 0.5009 0.2500 0.2920  7 O 2.87-3.05
Rb 0.6641 0.7500 0.0767  1 O 2.74
Rb 0.8359 0.2500 0.5767  1 O 2.74
Rb 0.9991 0.7500 0.7920  7 O 2.87-3.05
Mo 0.2185 0.7500 0.0802  4 O 1.76-1.78
Mo 0.2815 0.2500 0.5802  4 O 1.76-1.78
Mo 0.7185 0.7500 0.4198  4 O 1.76-1.78
Mo 0.7815 0.2500 0.9198  4 O 1.76-1.78
O 0.0019 0.7500 0.0675  1 Mo 1.76
O 0.1888 0.2500 0.4350  1 Mo 1.78
O 0.2150 0.0222 0.6585  1 Mo 1.77
O 0.2150 0.4778 0.6585  1 Mo 1.77
O 0.2850 0.5222 0.1585  1 Mo 1.77
O 0.2850 0.9778 0.1585  1 Mo 1.77
O 0.3112 0.7500 0.9350  1 Mo 1.78
O 0.4981 0.2500 0.5675  1 Mo 1.76
O 0.5019 0.7500 0.4325  1 Mo 1.76
O 0.6888 0.2500 0.0650  1 Mo 1.78
O 0.7150 0.0222 0.8415  1 Mo 1.77
O 0.7150 0.4778 0.8415  1 Mo 1.77
O 0.7850 0.5222 0.3415  1 Mo 1.77
O 0.7850 0.9778 0.3415  1 Mo 1.77
O 0.8112 0.7500 0.5650  1 Mo 1.78
O 0.9981 0.2500 0.9325  1 Mo 1.76

=====

Entry 7:
Computed, not measured: an optimized crystal structure of GdMgPt at the meta-GGA r2SCAN level of DFT.

SG   No. 38

Lattice parameters (Å, degrees): 4.0992 7.3884 7.3884 119.98 90.00 90.00
Last column: nearest neighbours and their distance in Å.
Sites, in units of the cell vectors:
Gd 0.0000 0.0000 0.0000  5 Pt 3.03, 6 Mg 3.28-3.35
Gd 0.0000 0.4120 0.8220  5 Pt 3.03-3.04, 6 Mg 3.28-3.35
Gd 0.0000 0.8220 0.4120  5 Pt 3.03-3.04, 6 Mg 3.28-3.35
Mg 0.5000 0.1686 0.4111  4 Pt 2.72-2.86
Mg 0.5000 0.4111 0.1686  4 Pt 2.72-2.86
Mg 0.5000 0.6534 0.6534  4 Pt 2.72-2.86
Pt 0.0000 0.4104 0.4104  6 Mg 2.72, 3 Gd 3.03
Pt 0.5000 0.0776 0.7442  3 Mg 2.86, 6 Gd 3.03-3.04
Pt 0.5000 0.7442 0.0776  3 Mg 2.86, 6 Gd 3.03-3.04

=====

Entry 8:
Computed, not measured: an optimized crystal structure of AsXeF7 at the meta-GGA r2SCAN level of DFT.

SG   No. 14

Lattice parameters (Å, degrees): 6.2480 6.1609 15.8371 90.00 100.11 90.00
Last column: nearest neighbours and their distance in Å.
Sites, in units of the cell vectors:
As 0.1445 0.2204 0.3891  6 F 1.71-1.90
As 0.1445 0.2796 0.8891  6 F 1.71-1.90
As 0.8555 0.7204 0.1109  6 F 1.71-1.90
As 0.8555 0.7796 0.6109  6 F 1.71-1.90
Xe 0.3643 0.2133 0.1228  1 F 1.98
Xe 0.3643 0.2867 0.6228  1 F 1.98
Xe 0.6357 0.7133 0.3772  1 F 1.98
Xe 0.6357 0.7867 0.8772  1 F 1.98
F 0.1347 0.7138 0.1200  1 As 1.73
F 0.1347 0.7862 0.6200  1 As 1.73
F 0.1362 0.2265 0.7825  1 As 1.71
F 0.1362 0.2735 0.2825  1 As 1.71
F 0.1450 0.0081 0.9176  1 As 1.73
F 0.1450 0.4919 0.4176  1 As 1.73
F 0.1501 0.1588 0.5069  1 As 1.90
F 0.1501 0.3412 0.0069  1 As 1.90
F 0.1497 0.5573 0.8757  1 As 1.72
F 0.1497 0.9427 0.3757  1 As 1.72
F 0.4265 0.2223 0.4139  1 As 1.74
F 0.4265 0.2777 0.9139  1 As 1.74
F 0.4498 0.6062 0.2715  1 Xe 1.98
F 0.4498 0.8938 0.7715  1 Xe 1.98
F 0.5502 0.1062 0.2285  1 Xe 1.98
F 0.5502 0.3938 0.7285  1 Xe 1.98
F 0.5735 0.7223 0.0861  1 As 1.74
F 0.5735 0.7777 0.5861  1 As 1.74
F 0.8503 0.0573 0.6243  1 As 1.72
F 0.8503 0.4427 0.1243  1 As 1.72
F 0.8499 0.6588 0.9931  1 As 1.90
F 0.8499 0.8412 0.4931  1 As 1.90
F 0.8550 0.5081 0.5824  1 As 1.73
F 0.8550 0.9919 0.0824  1 As 1.73
F 0.8638 0.7265 0.7175  1 As 1.71
F 0.8638 0.7735 0.2175  1 As 1.71
F 0.8653 0.2138 0.3800  1 As 1.73
F 0.8653 0.2862 0.8800  1 As 1.73

=====

Entry 9:
Computed, not measured: an optimized crystal structure of Zr2CS at the meta-GGA r2SCAN level of DFT.

SG   No. 194

Lattice parameters (Å, degrees): 3.4270 3.4270 12.1933 90.00 90.00 120.00
Last column: nearest neighbours and their distance in Å.
Sites, in units of the cell vectors:
Zr 0.3333 0.6667 0.1004  3 C 2.33
Zr 0.3333 0.6667 0.3996  3 C 2.33
Zr 0.6667 0.3333 0.6004  3 C 2.33
Zr 0.6667 0.3333 0.8996  3 C 2.33
C 0.0000 0.0000 0.0000  6 Zr 2.33
C 0.0000 0.0000 0.5000  6 Zr 2.33
S 0.3333 0.6667 0.7500  6 Zr 2.69
S 0.6667 0.3333 0.2500  6 Zr 2.69

=====

Entry 10:
Computed, not measured: an optimized crystal structure of TiInPd2 at the meta-GGA r2SCAN level of DFT.

SG   No. 123

Lattice parameters (Å, degrees): 3.2611 3.2611 6.2967 90.00 90.00 90.00
Last column: nearest neighbours and their distance in Å.
Sites, in units of the cell vectors:
Ti 0.0000 0.0000 0.0000  8 Pd 2.69
In 0.0000 0.0000 0.5000  8 Pd 2.90, 2 Ti 3.15
Pd 0.5000 0.5000 0.2215  4 Ti 2.69, 1 Pd 2.79, 4 In 2.90
Pd 0.5000 0.5000 0.7785  4 Ti 2.69, 1 Pd 2.79, 4 In 2.90

=====

Entry 11:
Computed, not measured: an optimized crystal structure of Zr4Al3C6 at the meta-GGA r2SCAN level of DFT.

SG   No. 194

Lattice parameters (Å, degrees): 3.3473 3.3473 33.0370 90.00 90.00 120.00
Last column: nearest neighbours and their distance in Å.
Sites, in units of the cell vectors:
Zr 0.0000 0.0000 0.1208  6 C 2.30-2.49
Zr 0.0000 0.0000 0.3792  6 C 2.30-2.49
Zr 0.0000 0.0000 0.6208  6 C 2.30-2.49
Zr 0.0000 0.0000 0.8792  6 C 2.30-2.49
Zr 0.3333 0.6667 0.0401  6 C 2.34-2.40
Zr 0.3333 0.6667 0.4599  6 C 2.34-2.40
Zr 0.6667 0.3333 0.5401  6 C 2.34-2.40
Zr 0.6667 0.3333 0.9599  6 C 2.34-2.40
Al 0.3333 0.6667 0.2500  3 C 1.93
Al 0.3333 0.6667 0.6893  4 C 2.01-2.05
Al 0.3333 0.6667 0.8107  4 C 2.01-2.05
Al 0.6667 0.3333 0.1893  4 C 2.01-2.05
Al 0.6667 0.3333 0.3107  4 C 2.01-2.05
Al 0.6667 0.3333 0.7500  3 C 1.93
C 0.0000 0.0000 0.0000  6 Zr 2.34
C 0.0000 0.0000 0.5000  6 Zr 2.34
C 0.3333 0.6667 0.1685  3 Al 2.05
C 0.3333 0.6667 0.3315  3 Al 2.05
C 0.3333 0.6667 0.5832  6 Zr 2.30-2.40
C 0.3333 0.6667 0.7500  5 Al 1.93-2.01
C 0.3333 0.6667 0.9168  6 Zr 2.30-2.40
C 0.6667 0.3333 0.0832  6 Zr 2.30-2.40
C 0.6667 0.3333 0.2500  5 Al 1.93-2.01
C 0.6667 0.3333 0.4168  6 Zr 2.30-2.40
C 0.6667 0.3333 0.6685  3 Al 2.05
C 0.6667 0.3333 0.8315  3 Al 2.05

=====

Entry 12:
Computed, not measured: an optimized crystal structure of BiSBr at the meta-GGA r2SCAN level of DFT.

SG   No. 62

Lattice parameters (Å, degrees): 8.3896 4.0853 10.0112 90.00 90.00 90.00
Last column: nearest neighbours and their distance in Å.
Sites, in units of the cell vectors:
Bi 0.1280 0.2500 0.1326  3 S 2.60-2.74
Bi 0.3720 0.7500 0.6326  3 S 2.60-2.74
Bi 0.6280 0.2500 0.3674  3 S 2.60-2.74
Bi 0.8720 0.7500 0.8674  3 S 2.60-2.74
S 0.1653 0.7500 0.9524  3 Bi 2.60-2.74
S 0.3347 0.2500 0.4524  3 Bi 2.60-2.74
S 0.6653 0.7500 0.5476  3 Bi 2.60-2.74
S 0.8347 0.2500 0.0476  3 Bi 2.60-2.74
Br 0.0126 0.2500 0.6789  2 Bi 3.02
Br 0.4874 0.7500 0.1789  2 Bi 3.02
Br 0.5126 0.2500 0.8211  2 Bi 3.02
Br 0.9874 0.7500 0.3211  2 Bi 3.02

=====

no.,formation enthalpy at 0 K (eV/f.u.)
1,-4.6
2,-15.1
3,-62.8
4,-2.1
5,-6.6
6,-16.0
7,-2.9
8,-14.8
9,-6.2
10,-2.3
11,-9.8
12,-1.9